Record 1
CsMnCrC6N6 PBE optimized geometry; total magnetic moment = 2.0 μB/f.u.; energy of formation from the pure elements = -0.061 eV/atom; SG = No. 216; raw total energy = -123.8 eV per cell
1.0
0.0000 5.4186 5.4186
5.4186 0.0000 5.4186
5.4186 5.4186 0.0000
N C Cs Mn Cr
6 6 1 1 1
direct
0.2032 0.2032 0.7968
0.7968 0.7968 0.2032
0.7968 0.2032 0.7968
0.2032 0.7968 0.2032
0.2032 0.7968 0.7968
0.7968 0.2032 0.2032
0.6885 0.3115 0.3115
0.3115 0.6885 0.3115
0.6885 0.6885 0.3115
0.3115 0.6885 0.6885
0.3115 0.3115 0.6885
0.6885 0.3115 0.6885
0.2500 0.2500 0.2500
0.0000 0.0000 0.0000
0.5000 0.5000 0.5000



Record 2
KAuF3 PBE optimized geometry; total magnetic moment = 0.2 μB/f.u.; energy of formation from the pure elements = -1.889 eV/atom; SG = No. 221; raw total energy = -18.2 eV per cell
1.0
4.4844 0.0000 0.0000
0.0000 4.4844 0.0000
0.0000 0.0000 4.4844
K Au F
1 1 3
direct
0.5000 0.5000 0.5000
0.0000 0.0000 0.0000
0.5000 0.0000 0.0000
0.0000 0.0000 0.5000
0.0000 0.5000 0.0000



Record 3
AcCe3 PBE optimized geometry; total magnetic moment = 0.0 μB/f.u.; energy of formation from the pure elements = 0.143 eV/atom; SG = No. 139; raw total energy = -21.3 eV per cell
1.0
4.3786 3.2061 -2.8600
-0.6362 5.9679 1.2687
0.2350 -4.9593 3.6029
Ac Ce
1 3
direct
0.0000 0.0000 0.0000
0.2500 0.7500 0.5000
0.7500 0.2500 0.5000
0.5000 0.5000 0.0000



Record 4
HfO2 PBE optimized geometry; energy of formation from the pure elements = -3.991 eV/atom; SG = No. 29; largest piezoelectric modulus = 2.612 C/m2; raw total energy = -121.8 eV per cell
1.0
-0.3844 -4.0283 -3.0046
4.8648 -1.1323 0.8957
-1.4442 -2.9405 4.1271
O Hf
8 4
direct
0.5402 0.4936 0.2333
0.5402 0.9936 0.2667
0.4598 0.9936 0.7667
0.9279 0.8768 0.6321
0.0721 0.8768 0.1321
0.4598 0.4936 0.7333
0.9279 0.3768 0.8679
0.0721 0.3768 0.3679
0.2674 0.2426 0.0338
0.7326 0.7426 0.9662
0.7326 0.2426 0.5338
0.2674 0.7426 0.4662



Record 5
RbSm2CuSe4 PBE optimized geometry; total magnetic moment = 0.0 μB/f.u.; energy of formation from the pure elements = -1.737 eV/atom; SG = No. 63; raw total energy = -81.0 eV per cell
1.0
-4.1685 6.2776 0.7659
0.2410 -7.5706 0.0045
2.7805 0.0970 14.3379
Se Sm Cu Rb
8 4 2 2
direct
0.7377 0.2623 0.3880
0.4294 0.5706 0.2500
0.0000 0.0000 0.0000
0.7377 0.2623 0.1120
0.5706 0.4294 0.7500
0.2623 0.7377 0.6120
0.2623 0.7377 0.8880
0.0000 0.0000 0.5000
0.6344 0.3656 0.9368
0.3656 0.6344 0.4368
0.6344 0.3656 0.5632
0.3656 0.6344 0.0632
0.8378 0.1622 0.2500
0.1622 0.8378 0.7500
0.8910 0.1090 0.7500
0.1090 0.8910 0.2500



Record 6
Na2MgCuO2 PBE optimized geometry; energy relative to the lowest polymorph listed for this composition = 0.0 kJ/mol of atoms; total magnetic moment = 0.0 μB/f.u.; energy of formation from the pure elements = -1.445 eV/atom; SG = No. 2; raw total energy = -25.5 eV per cell
1.0
5.5193 1.6841 3.1145
0.9502 -1.6554 7.7864
-4.4783 -2.6966 -5.8189
Mg Cu O Na
1 1 2 2
direct
0.5000 0.0000 0.0000
0.0000 0.5000 0.5000
0.6585 0.6928 0.9801
0.3415 0.3072 0.0199
0.8007 0.3136 0.8590
0.1993 0.6864 0.1410



Record 7
Na4TiSi3SnO12 PBE optimized geometry; total magnetic moment = 0.0 μB/f.u.; energy of formation from the pure elements = -2.813 eV/atom; SG = No. 143; raw total energy = -862.1 eV per cell
1.0
-3.0695 4.5953 -7.1679
4.7783 -7.5925 -1.1995
-18.9117 -11.9693 0.4250
O Sn Na Si Ti
72 6 24 18 6
direct
0.1482 0.6451 0.0790
0.8042 0.9679 0.6918
0.0321 0.8363 0.6918
0.8360 0.8044 0.3084
0.0252 0.8385 0.4109
0.8132 0.9748 0.4109
0.8266 0.0432 0.8086
0.6335 0.4979 0.6411
0.5059 0.6248 0.8574
0.8312 0.3003 0.5256
0.2916 0.8399 0.9756
0.8287 0.3046 0.2462
0.0317 0.1965 0.1919
0.1619 0.9767 0.9120
0.8815 0.5060 0.1426
0.5034 0.3553 0.4252
0.1712 0.6932 0.7526
0.5062 0.8832 0.3578
0.2997 0.4694 0.4745
0.0233 0.1852 0.9120
0.1648 0.9683 0.1919
0.3770 0.4938 0.3578
0.5048 0.1479 0.9212
0.1601 0.4517 0.9756
0.6431 0.4952 0.9212
0.8285 0.5187 0.7413
0.8521 0.3569 0.9212
0.8035 0.8352 0.1919
0.1188 0.4941 0.8574
0.4969 0.8518 0.0790
0.6997 0.5309 0.5256
0.5220 0.8288 0.7526
0.1833 0.1609 0.0910
0.1448 0.5045 0.5765
0.8391 0.0224 0.0910
0.9568 0.7835 0.8086
0.1886 0.0262 0.5901
0.1697 0.7003 0.4745
0.5021 0.1356 0.6411
0.2165 0.1734 0.8086
0.1168 0.6230 0.3578
0.8519 0.4966 0.4252
0.1956 0.0316 0.3084
0.6954 0.5241 0.2462
0.6902 0.1715 0.7413
0.8376 0.8114 0.5901
0.1637 0.1958 0.6918
0.5306 0.8303 0.4745
0.9738 0.1624 0.5901
0.5483 0.7084 0.9756
0.3048 0.8285 0.2542
0.4813 0.3098 0.7413
0.5237 0.6952 0.2542
0.8148 0.8381 0.9120
0.3752 0.8812 0.8574
0.3549 0.5031 0.0790
0.1615 0.1868 0.4109
0.4759 0.1713 0.2462
0.6447 0.1481 0.4252
0.6244 0.1185 0.1426
0.4497 0.2892 0.0247
0.8644 0.3665 0.6411
0.9684 0.1640 0.3084
0.1715 0.4763 0.2542
0.3596 0.8552 0.5765
0.4955 0.6404 0.5765
0.8396 0.5503 0.0247
0.7108 0.1604 0.0247
0.9776 0.8167 0.0910
0.4940 0.3756 0.1426
0.4691 0.1688 0.5256
0.3068 0.4780 0.7526
0.3333 0.6667 0.8137
0.6667 0.3333 0.1854
0.3333 0.6667 0.0186
0.3333 0.6667 0.3157
0.6667 0.3333 0.9820
0.0000 0.0000 0.8509
0.6326 0.9999 0.2501
0.3697 0.0038 0.7494
0.3333 0.6667 0.6652
0.2979 0.3333 0.5833
0.6667 0.3333 0.3352
0.3347 0.0359 0.4170
0.0329 0.3310 0.0836
0.9641 0.2988 0.4170
0.6690 0.7019 0.0836
0.0355 0.7021 0.5833
0.3333 0.6667 0.1664
0.6341 0.6303 0.7494
0.0000 0.0000 0.0010
0.3672 0.3674 0.2501
0.7002 0.0335 0.9166
0.0000 0.0000 0.5002
0.9962 0.3659 0.7494
0.6667 0.9645 0.5833
0.3333 0.2998 0.9166
0.9665 0.6667 0.9166
0.6667 0.3333 0.8320
0.2981 0.9671 0.0836
0.7012 0.6653 0.4170
0.0001 0.6328 0.2501
0.0402 0.3734 0.9165
0.3710 0.3312 0.0839
0.3771 0.0436 0.5833
0.6259 0.9598 0.4177
0.7099 0.0028 0.7485
0.6666 0.6229 0.5833
0.3340 0.3741 0.4177
0.6688 0.0398 0.0839
0.0002 0.2868 0.2501
0.2865 0.9998 0.2501
0.0402 0.6660 0.4177
0.9972 0.7071 0.7485
0.7132 0.7135 0.2501
0.3331 0.9598 0.9165
0.9564 0.3334 0.5833
0.6266 0.6669 0.9165
0.9602 0.6290 0.0839
0.2929 0.2901 0.7485
0.3333 0.6667 0.5176
0.0000 0.0000 0.3520
0.0000 0.0000 0.6485
0.6667 0.3333 0.6832
0.0000 0.0000 0.1484
0.6667 0.3333 0.4832



Record 8
Ba2HoMgNbO6 PBE optimized geometry; energy relative to the lowest polymorph listed for this composition = 3.6 kJ/mol of atoms; total magnetic moment = 1.6 μB/f.u.; energy of formation from the pure elements = -2.812 eV/atom; SG = No. 71; raw total energy = -76.6 eV per cell
1.0
-0.8378 -1.0737 6.1250
-4.8296 -3.6378 1.9156
0.6990 -5.8775 2.2792
Nb Ba O Mg Ho
1 2 6 1 1
direct
0.0000 0.0000 0.0000
0.8112 0.6888 0.6888
0.1888 0.3112 0.3112
0.7657 0.2343 0.2343
0.7384 0.7699 0.2301
0.2616 0.7699 0.2301
0.7384 0.2301 0.7699
0.2343 0.7657 0.7657
0.2616 0.2301 0.7699
0.5000 0.0000 0.0000
0.5000 0.5000 0.5000



Q: Number 2 is which compound?
A: KAuF3



Q: The highest energy of formation from the pure elements belongs to which entry?
A: AcCe3



Q: Which of these has the lowest energy of formation from the pure elements?
A: HfO2



Q: Which value of energy of formation from the pure elements does entry 3 give?
A: 0.143 eV/atom